DFT (r²SCAN) results for an optimized crystal structure of YbCrO3.

## Properties
Formation energy from the elements: -2.85 eV per atom
Magnetization: 3.0 μB/f.u.
Total DFT energy (no corrections): -83.77 eV/f.u.

a = 3.7709 Å, b = 3.7709 Å, c = 3.7709 Å
α = 90.00°, β = 90.00°, γ = 90.00°
Atoms (fractional coordinates):
Yb 0.0000 0.0000 0.0000
Cr 0.5000 0.5000 0.5000
O 0.0000 0.5000 0.5000
O 0.5000 0.0000 0.5000
O 0.5000 0.5000 0.0000

DFT (r²SCAN) results for an optimized crystal structure of ZnCr2O4.

## Properties
Formation energy from the elements: -2.27 eV per atom
Magnetization: 6.0 μB/f.u.
Total DFT energy (no corrections): -78.82 eV/f.u.

a = 5.9002 Å, b = 5.9002 Å, c = 5.9002 Å
α = 60.00°, β = 60.00°, γ = 60.00°
Atoms (fractional coordinates):
Zn 0.1250 0.1250 0.1250
Zn 0.8750 0.8750 0.8750
Cr 0.0000 0.5000 0.5000
Cr 0.5000 0.0000 0.5000
Cr 0.5000 0.5000 0.0000
Cr 0.5000 0.5000 0.5000
O 0.2616 0.2616 0.2616
O 0.2616 0.2616 0.7153
O 0.2616 0.7153 0.2616
O 0.2847 0.7384 0.7384
O 0.7153 0.2616 0.2616
O 0.7384 0.2847 0.7384
O 0.7384 0.7384 0.2847
O 0.7384 0.7384 0.7384

DFT (r²SCAN) results for an optimized crystal structure of V2CrOs.

## Properties
Formation energy from the elements: -0.32 eV per atom
Magnetization: 0.1 μB/f.u.
Total DFT energy (no corrections): -97.54 eV/f.u.

a = 4.2181 Å, b = 4.2181 Å, c = 4.2181 Å
α = 60.00°, β = 60.00°, γ = 60.00°
Atoms (fractional coordinates):
V 0.2500 0.2500 0.2500
V 0.7500 0.7500 0.7500
Cr 0.0000 0.0000 0.0000
Os 0.5000 0.5000 0.5000

DFT (r²SCAN) results for an optimized crystal structure of CrP4.

## Properties
Formation energy from the elements: -0.26 eV per atom
Magnetization: 0.0 μB/f.u.
Total DFT energy (no corrections): -52.40 eV/f.u.

a = 5.9409 Å, b = 5.9409 Å, c = 5.7249 Å
α = 98.82°, β = 98.82°, γ = 128.37°
Atoms (fractional coordinates):
Cr 0.0610 0.9390 0.7500
Cr 0.9390 0.0610 0.2500
P 0.0538 0.4936 0.1903
P 0.1841 0.3612 0.6774
P 0.3612 0.1841 0.1774
P 0.4936 0.0538 0.6903
P 0.5064 0.9462 0.3097
P 0.6388 0.8159 0.8226
P 0.8159 0.6388 0.3226
P 0.9462 0.5064 0.8097